# 1
# Zr4CdO9 (PBE, optimized geometry)
# - Formation energy: -3385 meV per atom
data_Zr4CdO9
_chemical_formula_sum 'Zr16 Cd4 O36'
_symmetry_space_group_name_H-M 'C 1 2/m 1'
_symmetry_Int_Tables_number 12
_symmetry_space_group_name_Hall '-C 2y'
_cell_length_a 33.586
_cell_length_b 3.506
_cell_length_c 6.113
_cell_angle_alpha 90.00
_cell_angle_beta 91.06
_cell_angle_gamma 90.00
loop_
_atom_site_label
_atom_site_fract_x
_atom_site_fract_y
_atom_site_fract_z
Zr1 0.088 0.000 0.189
Zr2 0.106 0.500 0.689
Zr3 0.192 0.000 0.906
Zr4 0.207 0.500 0.390
Cd1 0.000 0.000 0.500
Cd2 0.000 0.500 0.000
O1 0.026 0.000 0.204
O2 0.069 0.500 0.960
O3 0.077 0.000 0.569
O4 0.112 0.500 0.328
O5 0.129 0.000 0.914
O6 0.169 0.500 0.673
O7 0.182 0.000 0.267
O8 0.216 0.500 0.030
O9 0.230 0.000 0.622

# 2
# Na7Zr2In2Si3P3O24 (PBE, optimized geometry)
# - Formation energy: -2824 meV per atom
data_Na7Zr2In2Si3P3O24
_chemical_formula_sum 'Na21 Zr6 In6 Si9 P9 O72'
_symmetry_space_group_name_H-M 'P 1'
_symmetry_Int_Tables_number 1
_symmetry_space_group_name_Hall 'P 1'
_cell_length_a 9.227
_cell_length_b 9.228
_cell_length_c 22.728
_cell_angle_alpha 90.09
_cell_angle_beta 90.08
_cell_angle_gamma 119.96
loop_
_atom_site_label
_atom_site_fract_x
_atom_site_fract_y
_atom_site_fract_z
Na1 0.000 0.000 0.000
Na2 0.001 0.632 0.503
Na3 0.257 0.254 0.507
Na4 0.265 0.633 0.006
Na5 0.290 0.591 0.335
Na6 0.296 0.320 0.835
Na7 0.299 0.956 0.588
Na8 0.309 0.972 0.087
Na9 0.599 0.289 0.670
Na10 0.601 0.936 0.166
Na11 0.622 0.612 0.253
Na12 0.631 0.626 0.753
Na13 0.632 0.251 0.003
Na14 0.642 0.000 0.505
Na15 0.666 0.968 0.838
Na16 0.675 0.334 0.333
Na17 0.929 0.957 0.338
Na18 0.957 0.296 0.919
Na19 0.965 0.650 0.171
Na20 0.966 0.295 0.420
Na21 0.971 0.939 0.670
Zr1 0.296 0.962 0.235
Zr2 0.299 0.961 0.736
Zr3 0.623 0.624 0.107
Zr4 0.630 0.632 0.606
Zr5 0.642 0.633 0.900
Zr6 0.967 0.295 0.771
In1 0.294 0.959 0.437
In2 0.303 0.963 0.935
In3 0.637 0.632 0.403
In4 0.962 0.294 0.072
In5 0.966 0.291 0.573
In6 0.969 0.301 0.267
Si1 0.000 0.660 0.338
Si2 0.004 0.963 0.838
Si3 0.262 0.591 0.171
Si4 0.265 0.295 0.670
Si5 0.598 0.259 0.838
Si6 0.633 0.927 0.003
Si7 0.667 0.294 0.170
Si8 0.667 0.998 0.669
Si9 0.931 0.929 0.503
P1 0.297 0.257 0.339
P2 0.297 0.665 0.839
P3 0.338 0.335 0.002
P4 0.338 0.628 0.501
P5 0.594 0.962 0.338
P6 0.634 0.333 0.503
P7 0.927 0.630 0.005
P8 0.966 0.999 0.170
P9 0.967 0.589 0.667
O1 0.093 0.938 0.780
O2 0.097 0.783 0.282
O3 0.101 0.791 0.000
O4 0.113 0.740 0.397
O5 0.115 0.998 0.898
O6 0.116 0.768 0.676
O7 0.117 0.942 0.503
O8 0.118 0.972 0.177
O9 0.135 0.267 0.333
O10 0.147 0.486 0.831
O11 0.147 0.515 0.112
O12 0.154 0.259 0.610
O13 0.159 0.476 0.508
O14 0.164 0.323 0.007
O15 0.174 0.320 0.728
O16 0.190 0.485 0.231
O17 0.270 0.733 0.898
O18 0.275 0.159 0.397
O19 0.280 0.123 0.676
O20 0.281 0.780 0.176
O21 0.320 0.159 0.001
O22 0.323 0.164 0.287
O23 0.325 0.784 0.788
O24 0.334 0.795 0.501
O25 0.409 0.596 0.444
O26 0.423 0.440 0.946
O27 0.452 0.428 0.055
O28 0.453 0.645 0.554
O29 0.455 0.435 0.340
O30 0.456 0.628 0.165
O31 0.458 0.454 0.665
O32 0.459 0.650 0.842
O33 0.461 0.939 0.002
O34 0.474 0.163 0.782
O35 0.476 0.155 0.500
O36 0.482 0.126 0.178
O37 0.482 0.945 0.284
O38 0.482 0.977 0.678
O39 0.520 0.994 0.394
O40 0.527 0.145 0.897
O41 0.598 0.795 0.339
O42 0.599 0.438 0.842
O43 0.609 0.421 0.557
O44 0.613 0.810 0.061
O45 0.653 0.829 0.946
O46 0.655 0.434 0.446
O47 0.659 0.468 0.163
O48 0.664 0.818 0.665
O49 0.738 0.113 0.610
O50 0.739 0.249 0.111
O51 0.774 0.113 0.332
O52 0.781 0.332 0.229
O53 0.783 0.279 0.829
O54 0.791 0.092 0.725
O55 0.796 0.321 0.507
O56 0.804 0.602 0.664
O57 0.806 0.111 0.005
O58 0.808 0.820 0.164
O59 0.812 0.608 0.951
O60 0.812 0.802 0.841
O61 0.814 0.646 0.338
O62 0.818 0.850 0.443
O63 0.833 0.805 0.559
O64 0.842 0.649 0.060
O65 0.931 0.074 0.225
O66 0.941 0.471 0.719
O67 0.944 0.471 0.005
O68 0.950 0.116 0.506
O69 0.980 0.473 0.335
O70 0.986 0.132 0.832
O71 0.993 0.520 0.609
O72 0.995 0.101 0.113

# 3
# KP2H4O8 (PBE, optimized geometry)
# - Formation energy: -1981 meV per atom
data_KP2H4O8
_chemical_formula_sum 'K4 P8 H16 O32'
_symmetry_space_group_name_H-M 'P 1 21/c 1'
_symmetry_Int_Tables_number 14
_symmetry_space_group_name_Hall '-P 2ybc'
_cell_length_a 7.896
_cell_length_b 10.939
_cell_length_c 9.801
_cell_angle_alpha 90.00
_cell_angle_beta 112.00
_cell_angle_gamma 90.00
loop_
_atom_site_label
_atom_site_fract_x
_atom_site_fract_y
_atom_site_fract_z
K1 0.205 0.116 0.143
P1 0.116 0.070 0.735
P2 0.369 0.728 0.719
H1 0.066 0.719 0.657
H2 0.295 0.579 0.370
H3 0.425 0.080 0.702
H4 0.458 0.739 0.033
O1 0.075 0.196 0.784
O2 0.076 0.512 0.839
O3 0.165 0.725 0.611
O4 0.227 0.078 0.638
O5 0.227 0.503 0.383
O6 0.406 0.702 0.361
O7 0.432 0.591 0.746
O8 0.481 0.707 0.135

# 4
# Ti3Ni (PBE, optimized geometry)
# - Formation energy: -77 meV per atom
data_Ti3Ni
_chemical_formula_sum 'Ti6 Ni2'
_symmetry_space_group_name_H-M 'P 63/m m c'
_symmetry_Int_Tables_number 194
_symmetry_space_group_name_Hall '-P 6c 2c'
_cell_length_a 5.4460
_cell_length_b 5.4460
_cell_length_c 4.6249
_cell_angle_alpha 90.00
_cell_angle_beta 90.00
_cell_angle_gamma 120.00
loop_
_atom_site_label
_atom_site_fract_x
_atom_site_fract_y
_atom_site_fract_z
Ti1 0.1730 0.3461 0.2500
Ni1 0.3333 0.6667 0.7500